# 1
The following is a DFT calculation (GGA-PBE) of a relaxed Er3Ga8Ag3 crystal.

For the volume, the calculation gives 268 Å³/cell. The crystal system is orthorhombic. As for the space group: Immm. The calculation puts the energy of formation at -0.44 eV per atom.

Cell: 8.282 8.282 8.282 Å, 149.32 109.64 78.69°
Atoms (fractional coordinates):
Er (0.000, 0.000, 0.000)
Er (0.295, 0.295, 0.000)
Er (0.705, 0.705, 0.000)
Ga (0.026, 0.657, 0.369)
Ga (0.139, 0.858, 0.281)
Ga (0.288, 0.657, 0.631)
Ga (0.423, 0.142, 0.281)
Ga (0.577, 0.858, 0.719)
Ga (0.712, 0.343, 0.369)
Ga (0.861, 0.142, 0.719)
Ga (0.974, 0.343, 0.631)
Ag (0.313, 0.500, 0.813)
Ag (0.500, 0.000, 0.500)
Ag (0.687, 0.500, 0.187)

=====

# 2
The following is a DFT calculation (GGA-PBE) of a relaxed Sr19In8N7 crystal.

For the corrected total energy (MP2020 scheme), the calculation gives -0.28647 Ry/atom. For the volume, the calculation gives 980 Å³/cell. The crystal system is cubic. As for the space group: Fm-3m. The calculation puts the energy of formation at -0.59 eV per atom.

Cell: 11.148 11.148 11.148 Å, 60.00 60.00 60.00°
Atoms (fractional coordinates):
Sr (0.000, 0.000, 0.000)
Sr (0.000, 0.000, 0.330)
Sr (0.000, 0.000, 0.670)
Sr (0.000, 0.330, 0.000)
Sr (0.000, 0.330, 0.670)
Sr (0.000, 0.670, 0.000)
Sr (0.000, 0.670, 0.330)
Sr (0.330, 0.000, 0.000)
Sr (0.330, 0.000, 0.670)
Sr (0.330, 0.670, 0.000)
Sr (0.333, 0.333, 0.667)
Sr (0.333, 0.667, 0.333)
Sr (0.333, 0.667, 0.667)
Sr (0.667, 0.333, 0.333)
Sr (0.667, 0.333, 0.667)
Sr (0.667, 0.667, 0.333)
Sr (0.670, 0.000, 0.000)
Sr (0.670, 0.000, 0.330)
Sr (0.670, 0.330, 0.000)
In (0.035, 0.322, 0.322)
In (0.322, 0.035, 0.322)
In (0.322, 0.322, 0.035)
In (0.322, 0.322, 0.322)
In (0.678, 0.678, 0.678)
In (0.678, 0.678, 0.965)
In (0.678, 0.965, 0.678)
In (0.965, 0.678, 0.678)
N (0.174, 0.174, 0.826)
N (0.174, 0.826, 0.174)
N (0.174, 0.826, 0.826)
N (0.500, 0.500, 0.500)
N (0.826, 0.174, 0.174)
N (0.826, 0.174, 0.826)
N (0.826, 0.826, 0.174)

=====

# 3
The following is a DFT calculation (GGA-PBE) of a relaxed BaPHO4 crystal.

For the corrected total energy (MP2020 scheme), the calculation gives -0.52665 Ry/atom. For the volume, the calculation gives 1165 Å³/cell. The crystal system is orthorhombic. The polymorph energy (0 for the lowest one) comes out at 0.0 kJ per mole of atoms. As for the space group: Pnma. The calculation puts the energy of formation at -2.81 eV per atom.

Cell: 14.376 17.481 4.637 Å, 90.00 90.00 90.00°
Atoms (fractional coordinates):
Ba (0.102, 0.250, 0.140)
Ba (0.103, 0.586, 0.300)
Ba (0.103, 0.914, 0.300)
Ba (0.397, 0.086, 0.800)
Ba (0.397, 0.414, 0.800)
Ba (0.398, 0.750, 0.640)
Ba (0.602, 0.250, 0.360)
Ba (0.603, 0.586, 0.200)
Ba (0.603, 0.914, 0.200)
Ba (0.897, 0.086, 0.700)
Ba (0.897, 0.414, 0.700)
Ba (0.898, 0.750, 0.860)
P (0.133, 0.750, 0.745)
P (0.141, 0.083, 0.729)
P (0.141, 0.417, 0.729)
P (0.359, 0.583, 0.229)
P (0.359, 0.917, 0.229)
P (0.367, 0.250, 0.245)
P (0.633, 0.750, 0.755)
P (0.641, 0.083, 0.771)
P (0.641, 0.417, 0.771)
P (0.859, 0.583, 0.271)
P (0.859, 0.917, 0.271)
P (0.867, 0.250, 0.255)
H (0.207, 0.079, 0.278)
H (0.207, 0.421, 0.278)
H (0.213, 0.750, 0.140)
H (0.287, 0.250, 0.640)
H (0.293, 0.579, 0.778)
H (0.293, 0.921, 0.778)
H (0.707, 0.079, 0.222)
H (0.707, 0.421, 0.222)
H (0.713, 0.750, 0.360)
H (0.787, 0.250, 0.860)
H (0.793, 0.579, 0.722)
H (0.793, 0.921, 0.722)
O (0.078, 0.677, 0.823)
O (0.078, 0.823, 0.823)
O (0.079, 0.013, 0.788)
O (0.079, 0.487, 0.788)
O (0.082, 0.152, 0.623)
O (0.082, 0.348, 0.623)
O (0.162, 0.750, 0.427)
O (0.201, 0.108, 0.989)
O (0.201, 0.392, 0.989)
O (0.215, 0.057, 0.488)
O (0.215, 0.443, 0.488)
O (0.229, 0.750, 0.926)
O (0.271, 0.250, 0.426)
O (0.285, 0.557, 0.988)
O (0.285, 0.943, 0.988)
O (0.299, 0.608, 0.489)
O (0.299, 0.892, 0.489)
O (0.338, 0.250, 0.927)
O (0.418, 0.652, 0.123)
O (0.418, 0.848, 0.123)
O (0.421, 0.513, 0.288)
O (0.421, 0.987, 0.288)
O (0.422, 0.177, 0.323)
O (0.422, 0.323, 0.323)
O (0.578, 0.677, 0.677)
O (0.578, 0.823, 0.677)
O (0.579, 0.013, 0.712)
O (0.579, 0.487, 0.712)
O (0.582, 0.152, 0.877)
O (0.582, 0.348, 0.877)
O (0.662, 0.750, 0.073)
O (0.701, 0.108, 0.511)
O (0.701, 0.392, 0.511)
O (0.715, 0.057, 0.012)
O (0.715, 0.443, 0.012)
O (0.729, 0.750, 0.574)
O (0.771, 0.250, 0.074)
O (0.785, 0.557, 0.512)
O (0.785, 0.943, 0.512)
O (0.799, 0.608, 0.011)
O (0.799, 0.892, 0.011)
O (0.838, 0.250, 0.573)
O (0.918, 0.652, 0.377)
O (0.918, 0.848, 0.377)
O (0.921, 0.513, 0.212)
O (0.921, 0.987, 0.212)
O (0.922, 0.177, 0.177)
O (0.922, 0.323, 0.177)

=====

Please write out number 1 again, unchanged.
The following is a DFT calculation (GGA-PBE) of a relaxed Er3Ga8Ag3 crystal.

For the volume, the calculation gives 268 Å³/cell. The crystal system is orthorhombic. As for the space group: Immm. The calculation puts the energy of formation at -0.44 eV per atom.

Cell: 8.282 8.282 8.282 Å, 149.32 109.64 78.69°
Atoms (fractional coordinates):
Er (0.000, 0.000, 0.000)
Er (0.295, 0.295, 0.000)
Er (0.705, 0.705, 0.000)
Ga (0.026, 0.657, 0.369)
Ga (0.139, 0.858, 0.281)
Ga (0.288, 0.657, 0.631)
Ga (0.423, 0.142, 0.281)
Ga (0.577, 0.858, 0.719)
Ga (0.712, 0.343, 0.369)
Ga (0.861, 0.142, 0.719)
Ga (0.974, 0.343, 0.631)
Ag (0.313, 0.500, 0.813)
Ag (0.500, 0.000, 0.500)
Ag (0.687, 0.500, 0.187)

=====

> Which of these has the lowest energy of formation?

BaPHO4

=====

> The highest volume belongs to which entry?

BaPHO4

=====

> The lowest energy of formation belongs to which entry?

BaPHO4